# MgSiNiO5

MgSiNiO5 after structural relaxation (PBE+U, the Materials Project database).

Calculated values
For the energy above the most stable polymorph in this dataset, the calculation gives 0 meV/atom. The electronic total energy comes out at -97.453 eV for the cell shown. As for the space group: P1. The formation enthalpy at 0 K comes out at -2.14 eV/atom.

```
MgSiNiO5
1.0
5.258 0.000 0.000
-1.524 5.067 0.000
-1.696 -2.424 6.181
Mg Si Ni O
2 2 2 10
direct
0.000 0.000 0.000
0.330 0.659 0.493
0.339 0.651 0.992
0.988 0.004 0.492
0.664 0.328 0.242
0.664 0.328 0.742
0.008 0.227 0.366
0.029 0.596 0.818
0.298 0.061 0.667
0.320 0.426 0.117
0.388 0.966 0.159
0.572 0.415 0.492
0.576 0.673 0.873
0.750 0.982 0.610
0.756 0.241 0.992
0.941 0.689 0.327
```